Record 1
First-principles (PBE) data for a relaxed Y2B3C2 crystal, as listed in Materials Project.

The value obtained for the density is 4.6 Mg/m³. Its calculated formation energy is -0.504 eV/atom. The calculation puts the total energy at -7.8508 eV/atom.

The structure belongs to space group Cmmm (No. 65); the cell edges are 3.396, 13.739 and 3.652 Å and the angles 90.00°, 90.00° and 90.00°. The inequivalent atoms are Y at (0.000, 0.136, 0.000), B at (0.000, 0.283, 0.500), B at (0.000, 0.500, 0.500) and C at (0.000, 0.395, 0.500).



Record 2
First-principles (PBE) data for a relaxed SrZrO3 crystal, as listed in Materials Project.

The value obtained for the density is 5.2 Mg/m³. Its calculated formation energy is -3.654 eV/atom. The calculation puts the total energy at -8.2581 eV/atom. The total energy after the MP2020 corrections comes out at -8.67 eV/atom.

The structure belongs to space group Cmcm (No. 63); the cell edges are 8.269, 8.351 and 8.337 Å and the angles 90.00°, 90.00° and 90.00°. The inequivalent atoms are Sr at (0.000, 0.005, 0.250), Sr at (0.000, 0.488, 0.750), Zr at (0.250, 0.250, 0.000), O at (0.000, 0.291, 0.045), O at (0.203, 0.255, 0.750) and O at (0.206, 0.000, 0.000).



Record 3
First-principles (PBE) data for a relaxed Tl6Si2O7 crystal, as listed in Materials Project.

The value obtained for the density is 6.1 Mg/m³. For the relative energy among the computed polymorphs, the calculation gives 205 kJ/mol of formula units. Its calculated formation energy is -1.764 eV/atom. The calculation puts the total energy at -5.4204 eV/atom. The total energy after the MP2020 corrections comes out at -5.74 eV/atom.

The structure belongs to space group P3 (No. 143); the cell edges are 9.4436, 9.4436 and 4.8812 Å and the angles 90.00°, 90.00° and 120.00°. The inequivalent atoms are Tl at (0.0167, 0.6418, 0.0000), Tl at (0.2731, 0.0316, 0.4631), Si at (0.0000, 0.0000, 0.9278), Si at (0.3333, 0.6667, 0.4908), O at (0.0000, 0.0000, 0.5874), O at (0.0725, 0.1917, 0.0277) and O at (0.1972, 0.7196, 0.4896).



Record 4
First-principles (PBE) data for a relaxed Y3Fe62B14 crystal, as listed in Materials Project.

The value obtained for the density is 7.2 Mg/m³. Its calculated formation energy is 0.082 eV/atom. The calculation puts the total energy at -7.9944 eV/atom.

The structure belongs to space group Im-3m (No. 229); the cell edges are 12.122, 12.122 and 12.122 Å and the angles 90.00°, 90.00° and 90.00°. The inequivalent atoms are Y at (0.000, 0.000, 0.500), Fe at (0.000, 0.147, 0.288), Fe at (0.000, 0.250, 0.500), Fe at (0.097, 0.332, 0.332), Fe at (0.192, 0.192, 0.192), B at (0.000, 0.000, 0.175) and B at (0.089, 0.089, 0.089).



Record 5
First-principles (PBE) data for a relaxed H crystal, as listed in Materials Project.

The value obtained for the density is 0.1 Mg/m³. For the relative energy among the computed polymorphs, the calculation gives 0 kJ/mol of formula units. Its calculated formation energy is 0.000 eV/atom. The calculation puts the total energy at -3.3927 eV/atom.

The structure belongs to space group P6_3/mmc (No. 194); the cell edges are 3.7620, 3.7620 and 4.5348 Å and the angles 90.00°, 90.00° and 120.00°. The inequivalent atoms are H at (0.3333, 0.6667, 0.1673).



Record 6
First-principles (PBE) data for a relaxed CeUTe6 crystal, as listed in Materials Project.

The value obtained for the density is 7.6 Mg/m³. Its calculated formation energy is -1.067 eV/atom. The calculation puts the total energy at -5.2610 eV/atom. The total energy after the MP2020 corrections comes out at -5.58 eV/atom.

The structure belongs to space group Amm2 (No. 38); the cell edges are 4.401, 4.398 and 25.698 Å and the angles 90.00°, 90.00° and 90.00°. The inequivalent atoms are Ce at (0.000, 0.000, 0.000), U at (0.500, 0.000, 0.665), Te at (0.000, 0.000, 0.130), Te at (0.000, 0.000, 0.404), Te at (0.000, 0.000, 0.759), Te at (0.500, 0.000, 0.259), Te at (0.500, 0.000, 0.538) and Te at (0.500, 0.000, 0.904).



- Which value of calculated formation energy does entry 1 give?
  -0.504 eV/atom



- Among the records above, which one has the highest total energy?
  H